1.
Compound: LiVSiO4
Source: the Materials Project database
Functional: GGA+U
Structure: relaxed

Geometry as POSCAR:
```
LiVSiO4
1.0
-4.028 1.425 2.152
-3.350 -2.530 -4.596
-0.383 -8.907 5.180
O Li Si V
16 4 4 4
direct
0.778 0.226 0.852 O
0.237 0.007 0.420 O
0.222 0.726 0.148 O
0.240 0.507 0.941 O
0.760 0.006 0.059 O
0.278 0.726 0.648 O
0.740 0.007 0.559 O
0.222 0.287 0.148 O
0.260 0.507 0.441 O
0.263 0.007 0.920 O
0.778 0.787 0.852 O
0.737 0.507 0.080 O
0.763 0.507 0.580 O
0.722 0.226 0.352 O
0.722 0.787 0.352 O
0.278 0.287 0.648 O
0.020 0.006 0.214 Li
0.480 0.006 0.714 Li
0.980 0.506 0.786 Li
0.520 0.506 0.286 Li
0.419 0.507 0.588 Si
0.081 0.507 0.088 Si
0.581 0.007 0.412 Si
0.919 0.007 0.912 Si
0.000 0.757 0.500 V
0.000 0.257 0.500 V
0.500 0.756 0.000 V
0.500 0.256 0.000 V
```


2.
Compound: LiVSiO4
Source: the Materials Project database
Functional: GGA+U
Structure: relaxed

Geometry as POSCAR:
```
LiVSiO4
1.0
-2.439 -2.284 3.684
8.368 -3.450 1.877
1.152 4.843 3.765
O V Si Li
16 4 4 4
direct
0.355 0.118 0.536 O
0.829 0.116 0.750 O
0.171 0.884 0.250 O
0.911 0.143 0.250 O
0.645 0.882 0.036 O
0.411 0.643 0.250 O
0.589 0.357 0.750 O
0.329 0.616 0.750 O
0.145 0.382 0.036 O
0.145 0.382 0.464 O
0.355 0.118 0.964 O
0.855 0.618 0.964 O
0.089 0.857 0.750 O
0.855 0.618 0.536 O
0.645 0.882 0.464 O
0.671 0.384 0.250 O
0.000 0.000 0.000 V
0.500 0.500 0.000 V
0.000 0.000 0.500 V
0.500 0.500 0.500 V
0.477 0.826 0.250 Si
0.523 0.174 0.750 Si
0.977 0.326 0.250 Si
0.023 0.674 0.750 Si
0.994 0.665 0.250 Li
0.506 0.835 0.750 Li
0.494 0.165 0.250 Li
0.006 0.335 0.750 Li
```


3.
Compound: LiVSiO4
Source: the Materials Project database
Functional: GGA+U
Structure: relaxed

Geometry as POSCAR:
```
LiVSiO4
1.0
5.890 0.000 0.000
0.000 5.188 0.000
0.000 4.197 9.501
V Li O Si
4 4 16 4
direct
0.116 0.543 0.152 V
0.616 0.457 0.348 V
0.884 0.457 0.848 V
0.384 0.543 0.652 V
0.133 0.085 0.566 Li
0.633 0.915 0.934 Li
0.867 0.915 0.434 Li
0.367 0.085 0.066 Li
0.837 0.210 0.511 O
0.163 0.790 0.489 O
0.340 0.749 0.249 O
0.919 0.748 0.952 O
0.865 0.759 0.223 O
0.419 0.252 0.548 O
0.660 0.251 0.751 O
0.581 0.748 0.452 O
0.635 0.759 0.723 O
0.663 0.210 0.011 O
0.081 0.252 0.048 O
0.337 0.790 0.989 O
0.840 0.251 0.251 O
0.135 0.241 0.777 O
0.160 0.749 0.749 O
0.365 0.241 0.277 O
0.849 0.103 0.138 Si
0.651 0.103 0.638 Si
0.151 0.897 0.862 Si
0.349 0.897 0.362 Si
```


Order of stability, best first: 2, 1, 3


1.
Compound: Mn2P3O10
Source: the Materials Project database
Functional: GGA+U
Structure: relaxed

Geometry as POSCAR:
```
Mn2P3O10
1.0
4.492 6.891 0.000
-4.492 6.891 0.000
0.000 5.275 7.898
O P Mn
20 6 4
direct
0.217 0.829 0.363 O
0.526 0.209 0.540 O
0.444 0.049 0.184 O
0.783 0.171 0.637 O
0.171 0.783 0.137 O
0.438 0.299 0.790 O
0.701 0.562 0.710 O
0.889 0.895 0.372 O
0.951 0.556 0.316 O
0.209 0.526 0.040 O
0.474 0.791 0.460 O
0.299 0.438 0.290 O
0.895 0.889 0.872 O
0.791 0.474 0.960 O
0.556 0.951 0.816 O
0.049 0.444 0.684 O
0.105 0.111 0.128 O
0.111 0.105 0.628 O
0.829 0.217 0.863 O
0.562 0.701 0.210 O
0.084 0.916 0.250 P
0.566 0.155 0.700 P
0.916 0.084 0.750 P
0.845 0.434 0.800 P
0.434 0.845 0.300 P
0.155 0.566 0.200 P
0.300 0.262 0.034 Mn
0.700 0.738 0.966 Mn
0.262 0.300 0.534 Mn
0.738 0.700 0.466 Mn
```


2.
Compound: Mn2P3O10
Source: the Materials Project database
Functional: GGA+U
Structure: relaxed

Geometry as POSCAR:
```
Mn2P3O10
1.0
8.694 0.000 0.000
0.000 4.745 0.000
0.000 1.511 8.986
O P Mn
20 6 4
direct
0.250 0.582 0.284 O
0.750 0.459 0.977 O
0.750 0.212 0.238 O
0.750 0.418 0.716 O
0.398 0.321 0.829 O
0.398 0.771 0.482 O
0.602 0.229 0.518 O
0.898 0.229 0.518 O
0.750 0.699 0.450 O
0.250 0.301 0.550 O
0.602 0.679 0.171 O
0.898 0.679 0.171 O
0.398 0.172 0.201 O
0.898 0.828 0.799 O
0.102 0.771 0.482 O
0.102 0.321 0.829 O
0.102 0.172 0.201 O
0.250 0.541 0.023 O
0.602 0.828 0.799 O
0.250 0.788 0.762 O
0.250 0.337 0.181 P
0.750 0.663 0.819 P
0.750 0.527 0.145 P
0.750 0.395 0.543 P
0.250 0.473 0.855 P
0.250 0.605 0.457 P
0.438 0.043 0.675 Mn
0.062 0.043 0.675 Mn
0.562 0.957 0.325 Mn
0.938 0.957 0.325 Mn
```


Order of stability, best first: 2, 1